Record 1
ScBr2O7: optimized geometry, PBE.

Cell lengths 6.482, 9.077, 11.893 Å; angles 90.00, 90.00, 90.00 degrees
Atoms (fractional coordinates):
Sc: 0.500 0.903 0.901
Sc: 0.000 0.403 0.599
Sc: 0.000 0.597 0.401
Sc: 0.500 0.097 0.099
Br: 0.000 0.134 0.262
Br: 0.000 0.242 0.869
Br: 0.000 0.758 0.131
Br: 0.500 0.634 0.238
Br: 0.500 0.742 0.631
Br: 0.000 0.866 0.738
Br: 0.500 0.258 0.369
Br: 0.500 0.366 0.762
O: 0.500 0.292 0.223
O: 0.672 0.817 0.444
O: 0.500 0.855 0.389
O: 0.000 0.645 0.889
O: 0.828 0.683 0.944
O: 0.792 0.931 0.811
O: 0.708 0.569 0.311
O: 0.000 0.792 0.277
O: 0.000 0.355 0.111
O: 0.208 0.069 0.189
O: 0.500 0.145 0.611
O: 0.000 0.208 0.723
O: 0.208 0.931 0.811
O: 0.672 0.183 0.556
O: 0.500 0.116 0.937
O: 0.828 0.317 0.056
O: 0.500 0.884 0.063
O: 0.292 0.431 0.689
O: 0.000 0.384 0.437
O: 0.792 0.069 0.189
O: 0.000 0.616 0.563
O: 0.500 0.708 0.777
O: 0.172 0.317 0.056
O: 0.172 0.683 0.944
O: 0.328 0.817 0.444
O: 0.708 0.431 0.689
O: 0.292 0.569 0.311
O: 0.328 0.183 0.556

Theoretical density in kg/m3: 3007
Formation enthalpy at 0 K in eV per atom: -0.49
V in Å³ per atom: 17.5
Total magnetization in μB/atom: 0.100


Record 2
Ac2ZnAu: optimized geometry, PBE.

Cell lengths 5.542, 5.542, 5.542 Å; angles 60.00, 60.00, 60.00 degrees
Atoms (fractional coordinates):
Ac: 0.250 0.250 0.250
Ac: 0.750 0.750 0.750
Au: 0.500 0.500 0.500
Zn: 0.000 0.000 0.000

Theoretical density in kg/m3: 9883
Formation enthalpy at 0 K in eV per atom: -0.50
V in Å³ per atom: 30.1


Record 3
Ho2B4O9: optimized geometry, PBE.

Cell lengths 6.186, 6.446, 7.487 Å; angles 102.51, 97.13, 102.42 degrees
Atoms (fractional coordinates):
O: 0.580 0.818 0.445
O: 0.420 0.182 0.555
O: 0.812 0.868 0.879
O: 0.931 0.044 0.325
O: 0.540 0.538 0.748
O: 0.495 0.209 0.979
O: 0.505 0.791 0.021
O: 0.140 0.718 0.856
O: 0.460 0.462 0.252
O: 0.774 0.572 0.042
O: 0.764 0.263 0.789
O: 0.188 0.132 0.121
O: 0.069 0.956 0.675
O: 0.226 0.428 0.958
O: 0.860 0.282 0.144
O: 0.781 0.405 0.522
O: 0.236 0.737 0.211
O: 0.219 0.595 0.478
B: 0.269 0.666 0.019
B: 0.338 0.318 0.073
B: 0.626 0.357 0.651
B: 0.731 0.334 0.981
B: 0.994 0.146 0.190
B: 0.374 0.643 0.349
B: 0.662 0.682 0.927
B: 0.006 0.854 0.810
Ho: 0.549 0.091 0.287
Ho: 0.887 0.677 0.360
Ho: 0.113 0.323 0.640
Ho: 0.451 0.909 0.713

E above lowest polymorph in meV/atom: 0
Theoretical density in kg/m3: 6133
Formation enthalpy at 0 K in eV per atom: -3.29
V in Å³ per atom: 9.3
Total magnetization in μB/atom: 0.000
MP2020-corrected energy in Ha/atom: -0.3179